1.
72
Lattice="8.086 0.000 0.000 0.000 14.612 0.000 0.000 0.000 9.835" Properties=species:S:1:pos:R:3 comment="Co4Se3Cl2O9 | Materials Project | PBE+U | relaxed" ef_ev_per_atom=-1.23 pbc="T T T"
Co 0.269 1.856 2.309
Co 0.269 5.451 2.309
Co 1.647 7.633 9.824
Co 1.647 14.285 9.824
Co 2.396 0.327 4.907
Co 2.396 6.979 4.907
Co 3.774 9.162 7.226
Co 3.774 12.757 7.226
Co 4.312 1.856 2.609
Co 4.312 5.451 2.609
Co 5.690 7.633 4.928
Co 5.690 14.285 4.928
Co 6.438 0.327 0.011
Co 6.438 6.979 0.011
Co 7.817 9.162 7.526
Co 7.817 12.757 7.526
Se 0.228 8.448 2.829
Se 0.228 13.471 2.829
Se 1.968 3.653 4.503
Se 2.075 10.959 9.420
Se 3.815 1.141 7.746
Se 3.815 6.165 7.746
Se 4.271 8.448 2.089
Se 4.271 13.471 2.089
Se 6.011 3.653 0.415
Se 6.118 10.959 5.332
Se 7.858 1.141 7.006
Se 7.858 6.165 7.006
Cl 1.859 9.212 5.771
Cl 1.859 12.706 5.771
Cl 2.184 1.906 0.854
Cl 2.184 5.400 0.854
Cl 5.902 9.212 8.981
Cl 5.902 12.706 8.981
Cl 6.227 1.906 4.063
Cl 6.227 5.400 4.063
O 0.069 0.292 8.534
O 0.069 7.015 8.534
O 0.767 3.653 3.215
O 0.839 0.326 3.582
O 0.839 6.980 3.582
O 1.094 9.595 8.978
O 1.094 12.324 8.978
O 1.335 1.334 6.353
O 1.335 5.972 6.353
O 2.708 8.640 1.436
O 2.708 13.278 1.436
O 2.949 2.288 4.061
O 2.949 5.018 4.061
O 3.203 7.632 8.499
O 3.203 14.287 8.499
O 3.276 10.959 8.132
O 3.974 7.598 3.617
O 3.974 14.321 3.617
O 4.112 0.292 6.218
O 4.112 7.015 6.218
O 4.810 3.653 1.703
O 4.882 0.326 1.336
O 4.882 6.980 1.336
O 5.137 9.595 5.774
O 5.137 12.324 5.774
O 5.378 1.334 8.399
O 5.378 5.972 8.399
O 6.751 8.640 3.481
O 6.751 13.278 3.481
O 6.992 2.288 0.857
O 6.992 5.018 0.857
O 7.246 7.632 6.253
O 7.246 14.287 6.253
O 7.318 10.959 6.620
O 8.017 7.598 1.301
O 8.017 14.321 1.301

=====

2.
46
Lattice="-4.714 3.972 -2.298 -9.786 -6.848 8.119 0.179 6.717 4.359" Properties=species:S:1:pos:R:3 comment="Co5Se4Cl2O12 | Materials Project | PBE+U | relaxed" ef_ev_per_atom=-1.25 pbc="T T T"
Co -9.517 3.907 3.941
Co -8.781 -3.455 7.872
Co -5.540 7.296 2.308
Co -8.558 4.935 6.963
Co -5.763 -1.094 3.216
Co -4.535 10.689 2.061
Co -3.800 3.329 5.991
Co -10.521 0.513 4.188
Co -3.756 5.000 0.726
Co -10.565 -1.157 9.451
Se -6.339 4.724 4.230
Se -11.321 -2.060 6.111
Se -3.000 5.901 4.069
Se -7.982 -0.883 5.949
Se -7.779 1.582 2.454
Se -12.584 1.515 8.693
Se -1.738 2.327 1.486
Se -6.542 2.259 7.725
Cl -4.141 0.697 3.917
Cl -8.944 0.628 10.156
Cl -5.376 3.211 0.023
Cl -10.180 3.144 6.262
O -4.108 5.705 2.748
O -9.088 -1.078 4.627
O -5.233 4.919 5.552
O -10.214 -1.864 7.432
O -4.012 8.612 1.814
O -8.995 1.830 3.694
O -5.326 2.011 6.486
O -10.309 -4.771 8.366
O -5.426 6.243 0.591
O -10.228 6.178 6.829
O -4.093 -2.337 3.350
O -8.897 -2.403 9.589
O -6.656 6.383 3.765
O -11.637 -0.401 5.644
O -2.683 4.242 4.536
O -7.665 -2.542 6.415
O -1.490 6.249 3.290
O -6.471 -0.534 5.171
O -7.850 4.375 5.009
O -12.831 -2.408 6.889
O -2.097 4.016 1.465
O -6.902 3.948 7.702
O -7.419 -0.107 2.478
O -12.225 -0.174 8.716

=====

3.
38
Lattice="-3.644 -0.925 -6.510 -5.463 -7.178 1.879 -6.355 4.239 5.154" Properties=species:S:1:pos:R:3 comment="Co3Se4Cl2O10 | Materials Project | PBE+U | relaxed" ef_ev_per_atom=-1.19 pbc="T T T"
Co -7.731 -1.932 0.262
Co -15.462 -3.865 0.523
Co -7.349 1.068 -1.447
Co -5.083 -4.179 0.167
Co -8.113 -4.933 1.970
Co -10.379 0.314 0.356
Se -5.094 0.034 1.007
Se -12.825 -1.898 1.269
Se -4.796 0.100 -3.509
Se -8.883 -0.908 3.263
Se -10.368 -3.899 -0.484
Se -2.637 -1.967 -0.746
Se -10.666 -3.964 4.032
Se -6.579 -2.957 -2.739
Cl -6.775 -6.041 0.151
Cl -9.042 -0.795 -1.466
Cl -6.420 -3.069 1.989
Cl -8.687 2.176 0.373
O -5.735 1.478 1.929
O -7.112 -4.692 -2.962
O -9.727 -5.342 -1.406
O -8.350 0.827 3.485
O -6.488 -0.244 0.021
O -7.862 -6.413 -4.871
O -10.417 -7.049 -3.351
O -9.039 -0.878 1.539
O -8.974 -3.621 0.502
O -7.599 2.549 5.395
O -5.045 3.184 3.874
O -6.423 -2.987 -1.016
O -3.984 0.671 -0.097
O -11.713 -1.264 0.165
O -6.405 0.057 -2.994
O -10.493 -0.948 3.776
O -11.478 -4.536 0.621
O -3.749 -2.601 0.358
O -9.057 -3.921 3.517
O -4.969 -2.916 -3.253

=====

4.
44
Lattice="7.247 0.000 0.000 -2.788 8.598 0.000 -3.241 -2.711 11.341" Properties=species:S:1:pos:R:3 comment="SmCoSe2ClO6 | Materials Project | PBE+U | relaxed" ef_ev_per_atom=-1.88 pbc="T T T"
Sm -1.262 2.101 4.931
Sm -4.231 5.221 10.619
Sm 5.449 0.666 0.722
Sm 2.481 3.786 6.410
Co -1.648 4.870 1.764
Co -1.700 -0.923 7.397
Co 2.919 6.810 3.944
Co 2.866 1.016 9.576
Se 0.911 -0.559 2.840
Se -2.158 3.181 8.417
Se -0.010 5.190 4.644
Se -0.209 -0.325 10.461
Se 1.427 6.212 0.880
Se 1.228 0.697 6.697
Se 3.376 2.706 2.923
Se 0.307 6.446 8.500
Cl -0.284 3.103 0.571
Cl -3.053 6.209 6.036
Cl 4.272 -0.322 5.304
Cl 1.503 2.784 10.770
O -2.633 2.641 6.827
O -2.425 6.398 2.987
O 0.413 -0.148 1.222
O -3.589 4.191 8.593
O -0.431 0.088 3.724
O -2.547 1.909 9.478
O -0.626 4.072 3.458
O -0.898 -1.390 9.268
O -0.273 6.403 1.207
O -0.512 0.758 6.945
O -0.071 4.079 5.970
O 2.988 1.203 0.402
O -1.769 4.684 10.939
O 1.289 1.808 5.371
O 1.730 5.129 4.396
O 1.491 -0.516 10.134
O 2.116 7.276 2.073
O 1.844 1.815 7.883
O 3.765 3.978 1.862
O 1.649 5.799 7.617
O 4.807 1.696 2.748
O 0.806 6.035 10.119
O 3.643 -0.512 8.353
O 3.852 3.246 4.514

=====

Number 1: total energy -5.37 eV/atom. Number 2: total energy -5.43 eV/atom. Number 3: total energy -5.23 eV/atom. Number 4: total energy -5.94 eV/atom.